An optimized crystal structure of CeAlGe. Source: the Materials Project, functional PBE.

Cell lengths 4.261, 4.261, 7.999 Å; angles 105.44, 105.44, 90.00 degrees
Fractional coordinates of all 6 atoms:
1 Ce 0.832 0.332 0.663
2 Ce 0.582 0.582 0.163
3 Ge 0.249 0.749 0.499
4 Ge 0.999 0.999 0.999
5 Al 0.416 0.916 0.832
6 Al 0.166 0.166 0.332

The calculated formation energy comes out at -1.79 eV per formula unit. Its crystal system is tetragonal.